Entry 1:
VASP calculation (PBE-GGA) on a geometry-optimized LaB3O6 structure.

Properties
The value obtained for the relative energy among the computed polymorphs is 0.000 eV/f.u. The space group is C2/c, No. 15. The energy of formation from the pure elements is -3191 meV per atom. For the calculated density, the calculation gives 4.11 g/cm³.

Lattice parameters (Å, degrees): 6.4956 6.4956 6.5803 61.98 61.98 78.66
Closest atoms and distances in Å follow each position.
Positions (direct):
B 0.2033 0.3419 0.5813  3 O 1.34-1.42
B 0.3419 0.2033 0.0813  3 O 1.34-1.42
B 0.6581 0.7967 0.9187  3 O 1.34-1.42
B 0.2229 0.7771 0.2500  4 O 1.46-1.50
B 0.7967 0.6581 0.4187  3 O 1.34-1.42
B 0.7771 0.2229 0.7500  4 O 1.46-1.50
O 0.7880 0.6185 0.0005  1 B 1.34
O 0.7791 0.0101 0.7158  2 B 1.42-1.50
O 0.2120 0.3815 0.9995  1 B 1.34
O 0.2209 0.9899 0.2842  2 B 1.42-1.50
O 0.2116 0.5834 0.4894  2 B 1.39-1.46
O 0.3815 0.2120 0.4995  1 B 1.34
O 0.0101 0.7791 0.2158  2 B 1.42-1.50
O 0.5834 0.2116 0.9894  2 B 1.39-1.46
O 0.7884 0.4166 0.5106  2 B 1.39-1.46
O 0.4166 0.7884 0.0106  2 B 1.39-1.46
O 0.6185 0.7880 0.5005  1 B 1.34
O 0.9899 0.2209 0.7842  2 B 1.42-1.50
La 0.7978 0.2022 0.2500  8 O 2.42-2.66
La 0.2022 0.7978 0.7500  8 O 2.42-2.66

Entry 2:
VASP calculation (PBE-GGA) on a geometry-optimized La4B6O15 structure.

Properties
The space group is C2/c, No. 15. The spin magnetization is 0.0 μB/f.u. The energy of formation from the pure elements is -3368 meV per atom. For the calculated density, the calculation gives 5.24 g/cm³.

Lattice parameters (Å, degrees): 6.5267 6.5267 19.8380 82.94 82.94 40.63
Closest atoms and distances in Å follow each position.
Positions (direct):
B 0.3919 0.8108 0.0883  4 O 1.46-1.52
B 0.1892 0.6081 0.4117  4 O 1.46-1.52
B 0.6293 0.0270 0.4734  4 O 1.47-1.54
B 0.3707 0.9730 0.5266  4 O 1.47-1.54
B 0.2131 0.6616 0.1946  4 O 1.44-1.54
B 0.8108 0.3919 0.5883  4 O 1.46-1.52
B 0.6616 0.2131 0.6946  4 O 1.44-1.54
B 0.0270 0.6293 0.9734  4 O 1.47-1.54
B 0.7869 0.3384 0.8054  4 O 1.44-1.54
B 0.9730 0.3707 0.0266  4 O 1.47-1.54
B 0.3384 0.7869 0.3054  4 O 1.44-1.54
B 0.6081 0.1892 0.9117  4 O 1.46-1.52
O 0.4804 0.6996 0.5662  2 B 1.47-1.52
O 0.4973 0.9246 0.4531  2 B 1.53-1.54
O 0.3004 0.5196 0.9338  2 B 1.47-1.52
O 0.0318 0.3121 0.7977  1 B 1.46
O 0.5027 0.0754 0.5469  2 B 1.53-1.54
O 0.1910 0.8230 0.3761  2 B 1.50-1.53
O 0.0252 0.2317 0.5266  2 B 1.47-1.49
O 0.9682 0.6879 0.2023  1 B 1.46
O 0.5320 0.3439 0.1966  1 B 1.44
O 0.9129 0.4525 0.6355  1 B 1.46
O 0.3121 0.0318 0.2977  1 B 1.46
O 0.9246 0.4973 0.9531  2 B 1.53-1.54
O 0.2317 0.0252 0.0266  2 B 1.47-1.49
O 0.0754 0.5027 0.0469  2 B 1.53-1.54
O 0.9748 0.7683 0.4734  2 B 1.47-1.49
O 0.6996 0.4804 0.0662  2 B 1.47-1.52
O 0.8531 0.1469 0.7500  2 B 1.54
O 0.4680 0.6561 0.8034  1 B 1.44
O 0.6561 0.4680 0.3034  1 B 1.44
O 0.7683 0.9748 0.9734  2 B 1.47-1.49
O 0.8230 0.1910 0.8761  2 B 1.50-1.53
O 0.4525 0.9129 0.1355  1 B 1.46
O 0.8090 0.1770 0.6239  2 B 1.50-1.53
O 0.5475 0.0871 0.8645  1 B 1.46
O 0.1469 0.8531 0.2500  2 B 1.54
O 0.3439 0.5320 0.6966  1 B 1.44
O 0.0871 0.5475 0.3645  1 B 1.46
O 0.5196 0.3004 0.4338  2 B 1.47-1.52
O 0.1770 0.8090 0.1239  2 B 1.50-1.53
O 0.6879 0.9682 0.7023  1 B 1.46
La 0.6435 0.0751 0.3042  7 O 2.39-2.65
La 0.0751 0.6435 0.8042  7 O 2.39-2.65
La 0.3565 0.9249 0.6958  7 O 2.39-2.65
La 0.9127 0.3386 0.4054  4 O 2.38-2.46
La 0.0873 0.6614 0.5946  4 O 2.38-2.46
La 0.6614 0.0873 0.0946  4 O 2.38-2.46
La 0.9249 0.3565 0.1958  7 O 2.39-2.65
La 0.3386 0.9127 0.9054  4 O 2.38-2.46

Entry 3:
VASP calculation (PBE-GGA) on a geometry-optimized La5B3O13 structure.

Properties
The space group is P6_3/m, No. 176. The spin magnetization is 2.0 μB/f.u. The energy of formation from the pure elements is -3397 meV per atom. For the calculated density, the calculation gives 5.70 g/cm³.

Lattice parameters (Å, degrees): 9.3709 9.3709 7.1607 90.00 90.00 120.00
Closest atoms and distances in Å follow each position.
Positions (direct):
O 0.0860 0.3481 0.4198  1 B 1.50
O 0.7380 0.0860 0.9198  1 B 1.50
O 0.5371 0.1226 0.7500  1 B 1.49
O 0.8513 0.3321 0.2500  1 B 1.48
O 0.3481 0.2620 0.5802  1 B 1.50
O 0.0860 0.3481 0.0802  1 B 1.50
O 0.0000 0.0000 0.2500  3 La 2.30
O 0.3481 0.2620 0.9198  1 B 1.50
O 0.7380 0.0860 0.5802  1 B 1.50
O 0.8774 0.4145 0.7500  1 B 1.49
O 0.4808 0.1487 0.2500  1 B 1.48
O 0.1226 0.5855 0.2500  1 B 1.49
O 0.4629 0.8774 0.2500  1 B 1.49
O 0.4145 0.5371 0.2500  1 B 1.49
O 0.5855 0.4629 0.7500  1 B 1.49
O 0.5192 0.8513 0.7500  1 B 1.48
O 0.9140 0.6519 0.9198  1 B 1.50
O 0.3321 0.4808 0.7500  1 B 1.48
O 0.6519 0.7380 0.4198  1 B 1.50
O 0.9140 0.6519 0.5802  1 B 1.50
O 0.6679 0.5192 0.2500  1 B 1.48
O 0.1487 0.6679 0.7500  1 B 1.48
O 0.6519 0.7380 0.0802  1 B 1.50
O 0.2620 0.9140 0.0802  1 B 1.50
O 0.2620 0.9140 0.4198  1 B 1.50
O 0.0000 0.0000 0.7500  3 La 2.30
La 0.7474 0.7634 0.7500  4 O 2.30-2.50
La 0.6667 0.3333 0.5021  9 O 2.48-2.77
La 0.3333 0.6667 0.0021  9 O 2.48-2.77
La 0.0160 0.2526 0.7500  4 O 2.30-2.50
La 0.3333 0.6667 0.4979  9 O 2.48-2.77
La 0.2366 0.9840 0.7500  4 O 2.30-2.50
La 0.9840 0.7474 0.2500  4 O 2.30-2.50
La 0.2526 0.2366 0.2500  4 O 2.30-2.50
La 0.7634 0.0160 0.2500  4 O 2.30-2.50
La 0.6667 0.3333 0.9979  9 O 2.48-2.77
B 0.5981 0.6303 0.2500  4 O 1.48-1.50
B 0.4019 0.3697 0.7500  4 O 1.48-1.50
B 0.0323 0.4019 0.2500  4 O 1.48-1.50
B 0.3697 0.9677 0.2500  4 O 1.48-1.50
B 0.9677 0.5981 0.7500  4 O 1.48-1.50
B 0.6303 0.0323 0.7500  4 O 1.48-1.50

Entry 4:
VASP calculation (PBE-GGA) on a geometry-optimized La5Si2BO13 structure.

Properties
The space group is Pm, No. 6. The spin magnetization is 0.0 μB/f.u. The energy of formation from the pure elements is -3706 meV per atom. For the calculated density, the calculation gives 5.54 g/cm³.

Lattice parameters (Å, degrees): 7.2541 9.6063 9.6124 60.12 90.00 90.00
Closest atoms and distances in Å follow each position.
Positions (direct):
La 0.2484 0.3501 0.3274  7 O 2.47-2.70
La 0.7516 0.3501 0.3274  7 O 2.47-2.70
La 0.2521 0.6647 0.6706  6 O 2.47-2.57
La 0.5000 0.9938 0.7677  6 O 2.30-2.52
La 0.5000 0.2400 0.0130  6 O 2.34-2.59
La 0.5000 0.7487 0.2244  4 O 2.29-2.54
La 0.7479 0.6647 0.6706  6 O 2.47-2.57
La 0.0000 0.2501 0.7586  6 O 2.33-2.56
La 0.0000 0.7608 0.0012  6 O 2.31-2.58
La 0.0000 0.9718 0.2493  4 O 2.29-2.56
Si 0.5000 0.9710 0.3992  4 O 1.63-1.65
Si 0.0000 0.0327 0.5961  4 O 1.64-1.65
Si 0.5000 0.4017 0.6294  4 O 1.62-1.65
Si 0.0000 0.3663 0.0324  4 O 1.63-1.64
O 0.3173 0.9090 0.3444  1 Si 1.64
O 0.8173 0.0917 0.6551  1 Si 1.65
O 0.8167 0.2524 0.0910  1 Si 1.63
O 0.3180 0.3459 0.7471  1 Si 1.65
O 0.5000 0.5205 0.1465  1 B 1.52
O 0.0000 0.6654 0.4818  1 B 1.49
O 0.6827 0.9090 0.3444  1 Si 1.64
O 0.0000 0.0040 0.9963  3 La 2.29-2.33
O 0.1700 0.6507 0.2629  1 B 1.53
O 0.6703 0.7368 0.9149  1 B 1.52
O 0.6820 0.3459 0.7471  1 Si 1.65
O 0.0000 0.8374 0.6729  1 Si 1.64
O 0.5000 0.0013 0.0036  3 La 2.29-2.34
O 0.0000 0.1300 0.3989  1 Si 1.64
O 0.1827 0.0917 0.6551  1 Si 1.65
O 0.5000 0.5992 0.5292  1 Si 1.64
O 0.0000 0.4692 0.1267  1 Si 1.64
O 0.5000 0.3276 0.5100  1 Si 1.62
O 0.5000 0.5379 0.8767  1 B 1.51
O 0.1833 0.2524 0.0910  1 Si 1.63
O 0.0000 0.4155 0.4621  1 B 1.52
O 0.5000 0.8718 0.5967  1 Si 1.65
O 0.0000 0.4871 0.8376  1 Si 1.64
O 0.5000 0.1653 0.3252  1 Si 1.63
O 0.8300 0.6507 0.2629  1 B 1.53
O 0.3297 0.7368 0.9149  1 B 1.52
B 0.0000 0.5975 0.3720  4 O 1.49-1.53
B 0.5000 0.6309 0.9657  4 O 1.51-1.52